# 1
Compound: PCl2OF
Source: the Materials Project
Functional: PBE
Structure: relaxed

Lattice parameters (Å, degrees): 5.761 9.779 10.031 63.94 90.00 90.00
Element x y z (fractional)
O (0.529, 0.681, 0.786)
O (0.971, 0.181, 0.786)
F (0.326, 0.033, 0.108)
P (0.631, 0.549, 0.774)
Cl (0.203, 0.402, 0.416)
P (0.869, 0.049, 0.774)
F (0.174, 0.533, 0.108)
Cl (0.587, 0.619, 0.197)
P (0.369, 0.451, 0.226)
Cl (0.703, 0.098, 0.584)
P (0.131, 0.951, 0.226)
Cl (0.413, 0.381, 0.803)
O (0.029, 0.819, 0.214)
Cl (0.087, 0.881, 0.803)
Cl (0.797, 0.598, 0.584)
F (0.674, 0.967, 0.892)
F (0.826, 0.467, 0.892)
Cl (0.913, 0.119, 0.197)
Cl (0.297, 0.902, 0.416)
O (0.471, 0.319, 0.214)

Summary:
Theoretical density: 1.8 g cm⁻³
Symmetry: P2_1/c (14)
Raw total energy: -0.173 Ha/atom
Formation energy: -40.5 kcal/mol of atoms


# 2
Compound: Sr10P6ClO24F
Source: the Materials Project
Functional: PBE
Structure: relaxed

Lattice parameters (Å, degrees): 7.303 9.939 17.214 90.00 90.00 90.00
Element x y z (fractional)
Sr (0.751, 0.384, 0.375)
O (0.580, 0.590, 0.670)
O (0.424, 0.910, 0.820)
Cl (0.476, 0.000, 0.000)
O (0.751, 0.593, 0.073)
O (0.424, 0.776, 0.135)
O (0.251, 0.907, 0.425)
P (0.751, 0.669, 0.699)
Sr (0.751, 0.747, 0.504)
O (0.080, 0.410, 0.330)
O (0.080, 0.290, 0.630)
Sr (0.251, 0.253, 0.496)
O (0.749, 0.979, 0.441)
O (0.749, 0.850, 0.270)
Sr (0.499, 0.499, 0.833)
O (0.079, 0.910, 0.824)
O (0.748, 0.670, 0.790)
Sr (0.247, 0.132, 0.874)
O (0.424, 0.410, 0.328)
O (0.246, 0.824, 0.706)
Sr (0.499, 0.501, 0.167)
Sr (0.251, 0.630, 0.380)
Sr (0.747, 0.868, 0.126)
O (0.580, 0.199, 0.460)
P (0.750, 0.171, 0.203)
O (0.752, 0.093, 0.759)
O (0.248, 0.330, 0.210)
O (0.751, 0.314, 0.167)
P (0.750, 0.612, 0.983)
F (0.275, 0.499, 0.500)
P (0.250, 0.829, 0.797)
P (0.751, 0.714, 0.316)
Sr (0.747, 0.877, 0.871)
Cl (0.976, 0.000, 0.000)
O (0.924, 0.090, 0.180)
O (0.580, 0.710, 0.370)
O (0.746, 0.352, 0.765)
Sr (0.500, 0.999, 0.666)
O (0.579, 0.217, 0.867)
O (0.924, 0.714, 0.369)
O (0.424, 0.804, 0.541)
Sr (0.500, 0.001, 0.334)
O (0.746, 0.176, 0.294)
O (0.751, 0.815, 0.666)
O (0.251, 0.185, 0.334)
O (0.746, 0.473, 0.941)
Sr (0.751, 0.370, 0.620)
O (0.079, 0.307, 0.043)
Sr (0.999, 0.499, 0.833)
O (0.924, 0.590, 0.672)
P (0.751, 0.116, 0.485)
O (0.249, 0.150, 0.730)
O (0.246, 0.527, 0.059)
O (0.251, 0.407, 0.927)
O (0.079, 0.783, 0.133)
O (0.924, 0.196, 0.459)
O (0.424, 0.286, 0.631)
O (0.751, 0.592, 0.260)
O (0.246, 0.648, 0.235)
Sr (0.251, 0.616, 0.625)
P (0.251, 0.884, 0.515)
P (0.251, 0.286, 0.684)
P (0.250, 0.388, 0.017)
O (0.080, 0.801, 0.540)
F (0.775, 0.501, 0.500)
Sr (0.999, 0.501, 0.167)
Sr (0.000, 0.999, 0.666)
O (0.424, 0.313, 0.045)
O (0.924, 0.687, 0.955)
P (0.750, 0.219, 0.813)
O (0.252, 0.907, 0.241)
P (0.250, 0.781, 0.187)
Sr (0.000, 0.001, 0.334)
O (0.751, 0.093, 0.575)
O (0.579, 0.090, 0.176)
O (0.251, 0.408, 0.740)
Sr (0.247, 0.123, 0.129)
O (0.251, 0.686, 0.833)
P (0.251, 0.331, 0.301)
Sr (0.246, 0.748, 0.996)
O (0.924, 0.224, 0.865)
O (0.579, 0.693, 0.957)
Sr (0.746, 0.252, 0.004)
O (0.249, 0.021, 0.559)

Summary:
Theoretical density: 4.0 g cm⁻³
Symmetry: P2_1 (4)
Raw total energy: -0.259 Ha/atom
Formation energy: -77.6 kcal/mol of atoms
Excess energy over the best structure of this formula in the dataset: 0.000 eV per atom